# 1
DFT (GGA-PBE) results for a relaxed structure of Li2B12H33N7. Values from VASP.

```
&SYSTEM
  ibrav = 0, nat = 216, ntyp = 4
/
ATOMIC_SPECIES
Li 6.94 Li.upf
B 10.81 B.upf
H 1.01 H.upf
N 14.01 N.upf
ATOMIC_POSITIONS crystal
Li 0.687 0.999 0.815
Li 0.187 0.501 0.315
Li 0.313 0.001 0.185
Li 0.813 0.499 0.685
Li 0.673 0.649 0.057
Li 0.173 0.851 0.557
Li 0.327 0.351 0.943
Li 0.827 0.149 0.443
B 0.153 0.744 0.825
B 0.653 0.756 0.325
B 0.847 0.256 0.175
B 0.347 0.244 0.675
B 0.329 0.686 0.848
B 0.829 0.814 0.348
B 0.671 0.314 0.152
B 0.171 0.186 0.652
B 0.330 0.801 0.845
B 0.830 0.699 0.345
B 0.670 0.199 0.155
B 0.170 0.301 0.655
B 0.166 0.839 0.886
B 0.666 0.661 0.386
B 0.834 0.161 0.114
B 0.334 0.339 0.614
B 0.063 0.747 0.914
B 0.563 0.753 0.414
B 0.937 0.253 0.086
B 0.437 0.247 0.586
B 0.164 0.652 0.891
B 0.664 0.848 0.391
B 0.836 0.348 0.109
B 0.336 0.152 0.609
B 0.451 0.745 0.924
B 0.951 0.755 0.424
B 0.549 0.255 0.076
B 0.049 0.245 0.576
B 0.350 0.840 0.947
B 0.850 0.660 0.447
B 0.650 0.160 0.053
B 0.150 0.340 0.553
B 0.185 0.807 0.990
B 0.685 0.693 0.490
B 0.815 0.193 0.010
B 0.315 0.307 0.510
B 0.184 0.691 0.993
B 0.684 0.809 0.493
B 0.816 0.309 0.007
B 0.316 0.191 0.507
B 0.348 0.653 0.953
B 0.848 0.847 0.453
B 0.652 0.347 0.047
B 0.152 0.153 0.547
B 0.361 0.749 0.014
B 0.861 0.751 0.514
B 0.639 0.251 0.986
B 0.139 0.249 0.486
H 0.880 0.923 0.936
H 0.380 0.577 0.436
H 0.120 0.077 0.064
H 0.620 0.423 0.564
H 0.700 0.911 0.949
H 0.200 0.589 0.449
H 0.300 0.089 0.051
H 0.800 0.411 0.551
H 0.790 0.003 0.975
H 0.290 0.497 0.475
H 0.210 0.997 0.025
H 0.710 0.503 0.525
H 0.703 0.885 0.686
H 0.203 0.615 0.186
H 0.297 0.115 0.314
H 0.797 0.385 0.814
H 0.635 0.842 0.764
H 0.135 0.658 0.264
H 0.365 0.158 0.236
H 0.865 0.342 0.736
H 0.820 0.857 0.768
H 0.320 0.643 0.268
H 0.180 0.143 0.232
H 0.680 0.357 0.732
H 0.882 0.114 0.752
H 0.382 0.386 0.252
H 0.118 0.886 0.248
H 0.618 0.614 0.748
H 0.778 0.159 0.814
H 0.278 0.341 0.314
H 0.222 0.841 0.186
H 0.722 0.659 0.686
H 0.702 0.138 0.720
H 0.202 0.362 0.220
H 0.298 0.862 0.280
H 0.798 0.638 0.780
H 0.480 0.091 0.872
H 0.980 0.409 0.372
H 0.520 0.909 0.128
H 0.020 0.591 0.628
H 0.399 0.997 0.849
H 0.899 0.503 0.349
H 0.601 0.003 0.151
H 0.101 0.497 0.651
H 0.404 0.071 0.778
H 0.904 0.429 0.278
H 0.596 0.929 0.222
H 0.096 0.571 0.722
H 0.908 0.757 0.076
H 0.408 0.743 0.576
H 0.092 0.243 0.924
H 0.592 0.257 0.424
H 0.849 0.744 0.165
H 0.349 0.756 0.665
H 0.151 0.256 0.835
H 0.651 0.244 0.335
H 0.756 0.808 0.097
H 0.256 0.692 0.597
H 0.244 0.192 0.903
H 0.744 0.308 0.403
H 0.800 0.511 0.001
H 0.300 0.989 0.501
H 0.200 0.489 0.999
H 0.700 0.011 0.499
H 0.883 0.598 0.969
H 0.383 0.902 0.469
H 0.117 0.402 0.031
H 0.617 0.098 0.531
H 0.711 0.568 0.925
H 0.211 0.932 0.425
H 0.289 0.432 0.075
H 0.789 0.068 0.575
H 0.652 0.512 0.151
H 0.152 0.988 0.651
H 0.348 0.488 0.849
H 0.848 0.012 0.349
H 0.495 0.570 0.144
H 0.995 0.930 0.644
H 0.505 0.430 0.856
H 0.005 0.070 0.356
H 0.646 0.599 0.208
H 0.146 0.901 0.708
H 0.354 0.401 0.792
H 0.854 0.099 0.292
H 0.132 0.652 0.046
H 0.632 0.848 0.546
H 0.868 0.348 0.954
H 0.368 0.152 0.454
H 0.414 0.587 0.976
H 0.914 0.913 0.476
H 0.586 0.413 0.024
H 0.086 0.087 0.524
H 0.079 0.742 0.757
H 0.579 0.758 0.257
H 0.921 0.258 0.243
H 0.421 0.242 0.743
H 0.380 0.642 0.798
H 0.880 0.858 0.298
H 0.620 0.358 0.202
H 0.120 0.142 0.702
H 0.381 0.840 0.792
H 0.881 0.660 0.292
H 0.619 0.160 0.208
H 0.119 0.340 0.708
H 0.101 0.905 0.862
H 0.601 0.595 0.362
H 0.899 0.095 0.138
H 0.399 0.405 0.638
H 0.926 0.748 0.910
H 0.426 0.752 0.410
H 0.074 0.252 0.090
H 0.574 0.248 0.590
H 0.098 0.585 0.871
H 0.598 0.915 0.371
H 0.902 0.415 0.129
H 0.402 0.085 0.629
H 0.133 0.849 0.040
H 0.633 0.651 0.540
H 0.867 0.151 0.960
H 0.367 0.349 0.460
H 0.435 0.751 0.081
H 0.935 0.749 0.581
H 0.565 0.249 0.919
H 0.065 0.251 0.419
H 0.588 0.745 0.928
H 0.088 0.755 0.428
H 0.412 0.255 0.072
H 0.912 0.245 0.572
H 0.416 0.907 0.968
H 0.916 0.593 0.468
H 0.584 0.093 0.032
H 0.084 0.407 0.532
N 0.777 0.955 0.932
N 0.277 0.545 0.432
N 0.223 0.045 0.068
N 0.723 0.455 0.568
N 0.715 0.885 0.748
N 0.215 0.615 0.248
N 0.285 0.115 0.252
N 0.785 0.385 0.752
N 0.775 0.114 0.769
N 0.275 0.386 0.269
N 0.225 0.886 0.231
N 0.725 0.614 0.731
N 0.466 0.044 0.828
N 0.966 0.456 0.328
N 0.534 0.956 0.172
N 0.034 0.544 0.672
N 0.813 0.750 0.104
N 0.313 0.750 0.604
N 0.187 0.250 0.896
N 0.687 0.250 0.396
N 0.780 0.573 0.980
N 0.280 0.927 0.480
N 0.220 0.427 0.020
N 0.720 0.073 0.520
N 0.612 0.574 0.151
N 0.112 0.926 0.651
N 0.388 0.426 0.849
N 0.888 0.074 0.349
CELL_PARAMETERS angstrom
8.700 0.000 -1.332
0.000 15.399 0.000
0.041 0.000 16.565
```

Summary:
size of the total moment: 0.00 Bohr magnetons per cell
ΔH_f (0 K): -0.409 eV per atom


# 2
DFT (GGA-PBE) results for a relaxed structure of Sb16Te3. Values from VASP.

```
&SYSTEM
  ibrav = 0, nat = 19, ntyp = 2
/
ATOMIC_SPECIES
Sb 121.76 Sb.upf
Te 127.60 Te.upf
ATOMIC_POSITIONS crystal
Sb 0.208 0.208 0.208
Sb 0.315 0.315 0.315
Sb 0.056 0.056 0.056
Sb 0.576 0.576 0.576
Sb 0.896 0.896 0.896
Sb 0.264 0.264 0.264
Sb 0.944 0.944 0.944
Sb 0.472 0.472 0.472
Sb 0.104 0.104 0.104
Sb 0.840 0.840 0.840
Sb 0.528 0.528 0.528
Sb 0.736 0.736 0.736
Sb 0.792 0.792 0.792
Sb 0.160 0.160 0.160
Sb 0.424 0.424 0.424
Sb 0.685 0.685 0.685
Te 0.633 0.633 0.633
Te 0.000 0.000 0.000
Te 0.367 0.367 0.367
CELL_PARAMETERS angstrom
4.355 -0.024 36.394
2.149 3.788 36.394
-0.041 -0.024 36.653
```

Summary:
size of the total moment: 0.00 Bohr magnetons per cell
ΔH_f (0 K): -0.113 eV per atom


# 3
DFT (GGA-PBE) results for a relaxed structure of AgGeO3. Values from VASP.

```
&SYSTEM
  ibrav = 0, nat = 20, ntyp = 3
/
ATOMIC_SPECIES
Ag 107.87 Ag.upf
Ge 72.64 Ge.upf
O 16.00 O.upf
ATOMIC_POSITIONS crystal
Ag 0.996 0.999 0.027
Ag 0.995 0.502 0.026
Ag 0.495 0.998 0.048
Ag 0.496 0.501 0.031
Ge 0.208 0.753 0.535
Ge 0.285 0.251 0.541
Ge 0.708 0.747 0.532
Ge 0.785 0.248 0.526
O 0.107 0.592 0.528
O 0.116 0.922 0.529
O 0.195 0.250 0.041
O 0.298 0.750 0.034
O 0.377 0.421 0.533
O 0.383 0.088 0.548
O 0.607 0.909 0.545
O 0.615 0.578 0.529
O 0.695 0.249 0.026
O 0.798 0.750 0.032
O 0.877 0.079 0.526
O 0.883 0.412 0.525
CELL_PARAMETERS angstrom
-10.408 0.009 0.001
0.007 -8.850 0.001
0.000 0.000 3.173
```

Summary:
size of the total moment: 0.00 Bohr magnetons per cell
ΔH_f (0 K): -1.334 eV per atom


# 4
DFT (GGA-PBE) results for a relaxed structure of YH7C4O11. Values from VASP.

```
&SYSTEM
  ibrav = 0, nat = 92, ntyp = 4
/
ATOMIC_SPECIES
Y 88.91 Y.upf
H 1.01 H.upf
C 12.01 C.upf
O 16.00 O.upf
ATOMIC_POSITIONS crystal
Y 0.000 0.500 0.459
Y 0.500 0.000 0.541
Y 0.500 0.000 0.041
Y 0.000 0.500 0.959
H 0.821 0.926 0.213
H 0.493 0.305 0.829
H 0.590 0.002 0.776
H 0.500 0.500 0.777
H 0.305 0.507 0.171
H 0.507 0.695 0.829
H 0.993 0.805 0.671
H 0.679 0.574 0.287
H 0.007 0.195 0.671
H 0.500 0.500 0.223
H 0.000 0.000 0.723
H 0.090 0.502 0.724
H 0.926 0.179 0.787
H 0.321 0.426 0.287
H 0.179 0.074 0.213
H 0.998 0.590 0.224
H 0.574 0.321 0.713
H 0.195 0.993 0.329
H 0.910 0.498 0.724
H 0.805 0.007 0.329
H 0.002 0.410 0.224
H 0.074 0.821 0.787
H 0.410 0.998 0.776
H 0.426 0.679 0.713
H 0.000 0.000 0.277
H 0.695 0.493 0.171
H 0.502 0.910 0.276
H 0.498 0.090 0.276
C 0.774 0.204 0.947
C 0.726 0.283 0.050
C 0.704 0.726 0.447
C 0.296 0.274 0.447
C 0.226 0.796 0.947
C 0.717 0.726 0.950
C 0.726 0.296 0.553
C 0.217 0.226 0.550
C 0.226 0.783 0.450
C 0.783 0.774 0.550
C 0.274 0.717 0.050
C 0.204 0.226 0.053
C 0.796 0.774 0.053
C 0.774 0.217 0.450
C 0.274 0.704 0.553
C 0.283 0.274 0.950
O 0.125 0.720 0.396
O 0.780 0.625 0.896
O 0.092 0.291 0.571
O 0.373 0.447 0.218
O 0.500 0.000 0.231
O 0.408 0.209 0.929
O 0.709 0.092 0.429
O 0.791 0.408 0.071
O 0.500 0.000 0.731
O 0.413 0.201 0.421
O 0.875 0.280 0.396
O 0.087 0.299 0.079
O 0.220 0.375 0.896
O 0.117 0.735 0.897
O 0.000 0.500 0.769
O 0.209 0.592 0.071
O 0.265 0.117 0.103
O 0.000 0.500 0.269
O 0.383 0.765 0.603
O 0.553 0.373 0.782
O 0.883 0.265 0.897
O 0.375 0.780 0.104
O 0.765 0.617 0.397
O 0.299 0.913 0.921
O 0.799 0.413 0.579
O 0.127 0.053 0.282
O 0.592 0.791 0.929
O 0.587 0.799 0.421
O 0.447 0.627 0.782
O 0.617 0.235 0.603
O 0.720 0.875 0.604
O 0.735 0.883 0.103
O 0.280 0.125 0.604
O 0.053 0.873 0.718
O 0.908 0.709 0.571
O 0.701 0.087 0.921
O 0.625 0.220 0.104
O 0.235 0.383 0.397
O 0.947 0.127 0.718
O 0.291 0.908 0.429
O 0.201 0.587 0.579
O 0.913 0.701 0.079
O 0.873 0.947 0.282
O 0.627 0.553 0.218
CELL_PARAMETERS angstrom
8.812 0.000 0.000
0.000 8.812 0.000
0.000 0.000 12.812
```

Summary:
size of the total moment: 0.00 Bohr magnetons per cell
ΔH_f (0 K): -1.713 eV per atom